Entry 1:
Here is crystalline SmBO3 at its relaxed geometry from Materials Project. Energies are from PBE.

CIF file:
```
data_SmBO3
_chemical_formula_sum 'Sm4 B4 O12'
_cell_length_a 6.317
_cell_length_b 6.525
_cell_length_c 6.532
_cell_angle_alpha 93.11
_cell_angle_beta 106.22
_cell_angle_gamma 107.03
_space_group_name_H-M_alt 'P -1'
_space_group_IT_number 2
loop_
_space_group_symop_operation_xyz
'x,y,z'
'-x,-y,-z'
loop_
_atom_site_label
_atom_site_type_symbol
_atom_site_fract_x
_atom_site_fract_y
_atom_site_fract_z
Sm1 Sm 0.047 0.266 0.333
Sm2 Sm 0.442 0.813 0.222
B1 B 0.017 0.240 0.781
B2 B 0.480 0.274 0.266
O1 O 0.045 0.776 0.035
O2 O 0.090 0.645 0.368
O3 O 0.151 0.131 0.715
O4 O 0.372 0.128 0.386
O5 O 0.384 0.797 0.838
O6 O 0.426 0.461 0.250
```

Calculated values
Formation enthalpy at 0 K   -3.49 eV/atom

Entry 2:
Here is crystalline SnBO3 at its relaxed geometry from Materials Project. Energies are from PBE.

CIF file:
```
data_SnBO3
_chemical_formula_sum 'Sn8 B8 O24'
_cell_length_a 5.372
_cell_length_b 8.908
_cell_length_c 12.493
_cell_angle_alpha 90.00
_cell_angle_beta 102.13
_cell_angle_gamma 90.00
_space_group_name_H-M_alt 'C 1 c 1'
_space_group_IT_number 9
loop_
_space_group_symop_operation_xyz
'x,y,z'
'x,-y,z+1/2'
'x+1/2,y+1/2,z'
'x+1/2,-y+1/2,z+1/2'
loop_
_atom_site_label
_atom_site_type_symbol
_atom_site_fract_x
_atom_site_fract_y
_atom_site_fract_z
Sn1 Sn 0.000 0.122 0.000
Sn2 Sn 0.090 0.321 0.744
B1 B 0.080 0.340 0.246
B2 B 0.440 0.295 0.996
O1 O 0.131 0.106 0.502
O2 O 0.220 0.288 0.913
O3 O 0.344 0.341 0.268
O4 O 0.418 0.187 0.077
O5 O 0.447 0.293 0.720
O6 O 0.452 0.028 0.753
```

Calculated values
Formation enthalpy at 0 K   -2.27 eV/atom

Entry 3:
Here is crystalline SrSnB2O6 at its relaxed geometry from Materials Project. Energies are from PBE.

CIF file:
```
data_SrSnB2O6
_chemical_formula_sum 'Sr3 Sn3 B6 O18'
_cell_length_a 4.9996
_cell_length_b 4.9996
_cell_length_c 17.1057
_cell_angle_alpha 90.00
_cell_angle_beta 90.00
_cell_angle_gamma 120.00
_space_group_name_H-M_alt 'R -3'
_space_group_IT_number 148
_space_group_name_Hall '-R 3'
loop_
_atom_site_label
_atom_site_type_symbol
_atom_site_fract_x
_atom_site_fract_y
_atom_site_fract_z
Sr1 Sr 0.0000 0.0000 0.0000
Sn1 Sn 0.0000 0.0000 0.5000
B1 B 0.0000 0.0000 0.2350
O1 O 0.0371 0.4138 0.9052
```

Calculated values
Formation enthalpy at 0 K   -2.83 eV/atom

Entry 4:
Here is crystalline SrB12O7 at its relaxed geometry from Materials Project. Energies are from PBE.

CIF file:
```
data_SrB12O7
_chemical_formula_sum 'Sr3 B36 O21'
_cell_length_a 8.5865
_cell_length_b 8.5865
_cell_length_c 12.6364
_cell_angle_alpha 90.00
_cell_angle_beta 90.00
_cell_angle_gamma 120.00
_space_group_name_H-M_alt 'R 3'
_space_group_IT_number 146
_space_group_name_Hall 'R 3'
loop_
_atom_site_label
_atom_site_type_symbol
_atom_site_fract_x
_atom_site_fract_y
_atom_site_fract_z
Sr1 Sr 0.0000 0.0000 0.0000
B1 B 0.0014 0.2216 0.4761
B2 B 0.0144 0.7939 0.6446
B3 B 0.1176 0.1016 0.5033
B4 B 0.1466 0.0039 0.7149
O1 O 0.0000 0.0000 0.7892
O2 O 0.0049 0.2898 0.7770
O3 O 0.0055 0.7199 0.9754
```

Calculated values
Formation enthalpy at 0 K   -1.11 eV/atom

Entry 5:
Here is crystalline Sr2B11O22 at its relaxed geometry from Materials Project. Energies are from PBE.

CIF file:
```
data_Sr2B11O22
_chemical_formula_sum 'Sr4 B22 O44'
_cell_length_a 6.715
_cell_length_b 20.953
_cell_length_c 6.747
_cell_angle_alpha 90.00
_cell_angle_beta 119.52
_cell_angle_gamma 90.00
_space_group_name_H-M_alt 'P 1 21 1'
_space_group_IT_number 4
loop_
_space_group_symop_operation_xyz
'x,y,z'
'-x,y+1/2,-z'
loop_
_atom_site_label
_atom_site_type_symbol
_atom_site_fract_x
_atom_site_fract_y
_atom_site_fract_z
Sr1 Sr 0.018 0.000 0.069
Sr2 Sr 0.307 0.388 0.619
B1 B 0.013 0.855 0.047
B2 B 0.084 0.750 0.222
B3 B 0.124 0.012 0.660
B4 B 0.195 0.847 0.471
B5 B 0.274 0.866 0.870
B6 B 0.296 0.206 0.545
B7 B 0.303 0.532 0.603
B8 B 0.383 0.634 0.795
B9 B 0.414 0.373 0.213
B10 B 0.435 0.016 0.575
B11 B 0.481 0.536 0.027
O1 O 0.001 0.286 0.974
O2 O 0.031 0.879 0.261
O3 O 0.043 0.684 0.197
O4 O 0.053 0.131 0.142
O5 O 0.102 0.503 0.402
O6 O 0.122 0.861 0.644
O7 O 0.189 0.385 0.149
O8 O 0.192 0.777 0.436
O9 O 0.199 0.013 0.502
O10 O 0.222 0.877 0.040
O11 O 0.257 0.268 0.457
O12 O 0.268 0.145 0.500
O13 O 0.277 0.015 0.889
O14 O 0.288 0.601 0.595
O15 O 0.321 0.505 0.813
O16 O 0.391 0.252 0.719
O17 O 0.404 0.700 0.808
O18 O 0.410 0.519 0.198
O19 O 0.433 0.871 0.559
O20 O 0.469 0.606 0.003
O21 O 0.486 0.010 0.404
O22 O 0.488 0.366 0.054
```

Calculated values
Formation enthalpy at 0 K   -2.36 eV/atom

Entry 6:
Here is crystalline SrB2O8 at its relaxed geometry from Materials Project. Energies are from PBE.

CIF file:
```
data_SrB2O8
_chemical_formula_sum 'Sr8 B16 O64'
_cell_length_a 8.362
_cell_length_b 15.662
_cell_length_c 10.694
_cell_angle_alpha 90.00
_cell_angle_beta 117.69
_cell_angle_gamma 90.00
_space_group_name_H-M_alt 'P 1 21/c 1'
_space_group_IT_number 14
loop_
_space_group_symop_operation_xyz
'x,y,z'
'-x,-y,-z'
'-x,y+1/2,-z+1/2'
'x,-y+1/2,z+1/2'
loop_
_atom_site_label
_atom_site_type_symbol
_atom_site_fract_x
_atom_site_fract_y
_atom_site_fract_z
Sr1 Sr 0.009 0.168 0.272
Sr2 Sr 0.482 0.089 0.731
B1 B 0.215 0.522 0.928
B2 B 0.233 0.006 0.921
B3 B 0.276 0.223 0.073
B4 B 0.284 0.738 0.067
O1 O 0.026 0.000 0.370
O2 O 0.046 0.519 0.364
O3 O 0.186 0.195 0.928
O4 O 0.193 0.723 0.918
O5 O 0.201 0.192 0.580
O6 O 0.211 0.171 0.148
O7 O 0.212 0.677 0.126
O8 O 0.227 0.677 0.591
O9 O 0.280 0.064 0.424
O10 O 0.284 0.583 0.867
O11 O 0.285 0.076 0.862
O12 O 0.301 0.576 0.402
O13 O 0.309 0.544 0.077
O14 O 0.332 0.015 0.072
O15 O 0.461 0.249 0.632
O16 O 0.474 0.742 0.633
```

Calculated values
Energy relative to the lowest polymorph listed for this composition   0.000 eV/atom
Formation enthalpy at 0 K   -1.44 eV/atom

Entry 7:
Here is crystalline SrB8O15 at its relaxed geometry from Materials Project. Energies are from PBE.

CIF file:
```
data_SrB8O15
_chemical_formula_sum 'Sr2 B16 O30'
_cell_length_a 7.675
_cell_length_b 8.336
_cell_length_c 10.045
_cell_angle_alpha 90.00
_cell_angle_beta 109.42
_cell_angle_gamma 90.00
_space_group_name_H-M_alt 'P 1 21 1'
_space_group_IT_number 4
loop_
_space_group_symop_operation_xyz
'x,y,z'
'-x,y+1/2,-z'
loop_
_atom_site_label
_atom_site_type_symbol
_atom_site_fract_x
_atom_site_fract_y
_atom_site_fract_z
Sr1 Sr 0.107 0.000 0.273
B1 B 0.008 0.334 0.483
B2 B 0.035 0.343 0.025
B3 B 0.102 0.094 0.910
B4 B 0.109 0.093 0.648
B5 B 0.117 0.392 0.282
B6 B 0.389 0.498 0.725
B7 B 0.395 0.505 0.473
B8 B 0.398 0.100 0.858
O1 O 0.012 0.246 0.600
O2 O 0.028 0.255 0.908
O3 O 0.033 0.022 0.760
O4 O 0.047 0.992 0.005
O5 O 0.080 0.980 0.531
O6 O 0.081 0.282 0.384
O7 O 0.108 0.291 0.161
O8 O 0.269 0.497 0.798
O9 O 0.298 0.471 0.338
O10 O 0.305 0.103 0.954
O11 O 0.307 0.121 0.716
O12 O 0.311 0.515 0.578
O13 O 0.415 0.576 0.095
O14 O 0.422 0.042 0.473
O15 O 0.424 0.983 0.223
```

Calculated values
Formation enthalpy at 0 K   -2.53 eV/atom

Entry 8:
Here is crystalline SrB4O7 at its relaxed geometry from Materials Project. Energies are from PBE.

CIF file:
```
data_SrB4O7
_chemical_formula_sum 'Sr9 B36 O63'
_cell_length_a 17.3023
_cell_length_b 17.3023
_cell_length_c 4.2958
_cell_angle_alpha 90.00
_cell_angle_beta 90.00
_cell_angle_gamma 120.00
_space_group_name_H-M_alt 'P 3'
_space_group_IT_number 143
loop_
_space_group_symop_operation_xyz
'x,y,z'
'-y,x-y,z'
'-x+y,-x,z'
loop_
_atom_site_label
_atom_site_type_symbol
_atom_site_fract_x
_atom_site_fract_y
_atom_site_fract_z
Sr1 Sr 0.0000 0.0000 0.0000
Sr2 Sr 0.0019 0.6590 0.9957
Sr3 Sr 0.3274 0.0022 0.8110
Sr4 Sr 0.3333 0.6667 0.7933
Sr5 Sr 0.6667 0.3333 0.9014
B1 B 0.0051 0.4924 0.4054
B2 B 0.1073 0.5490 0.8921
B3 B 0.1084 0.2260 0.8541
B4 B 0.1586 0.8312 0.3418
B5 B 0.1714 0.6999 0.5362
B6 B 0.1786 0.1410 0.5720
B7 B 0.1925 0.4811 0.2006
B8 B 0.2000 0.0391 0.2386
B9 B 0.3361 0.1710 0.4736
B10 B 0.4385 0.2289 0.9768
B11 B 0.5146 0.1513 0.2918
B12 B 0.5151 0.3802 0.6187
O1 O 0.0155 0.1866 0.9875
O2 O 0.0327 0.8853 0.7373
O3 O 0.0516 0.5484 0.1450
O4 O 0.0606 0.4840 0.6446
O5 O 0.0978 0.8253 0.0948
O6 O 0.1080 0.2806 0.5944
O7 O 0.1187 0.7361 0.4636
O8 O 0.1394 0.3904 0.2023
O9 O 0.1432 0.0669 0.3677
O10 O 0.1523 0.6426 0.7733
O11 O 0.1832 0.5386 0.0100
O12 O 0.2543 0.7307 0.3899
O13 O 0.2686 0.1952 0.6042
O14 O 0.2867 0.0770 0.3395
O15 O 0.3839 0.2341 0.2274
O16 O 0.3901 0.1663 0.7266
O17 O 0.4577 0.0607 0.2945
O18 O 0.4665 0.4199 0.5434
O19 O 0.4918 0.3220 0.8564
O20 O 0.5089 0.2109 0.1022
O21 O 0.5923 0.1906 0.4784
```

Calculated values
Formation enthalpy at 0 K   -3.02 eV/atom